(1)
# Tb2Si5Os3 meta-GGA r2SCAN relaxed
# - E (eV per cell) = -1093.35
data_Tb2Si5Os3
_symmetry_space_group_name_H-M 'P 4/m n c'
_symmetry_Int_Tables_number 128
_symmetry_space_group_name_Hall '-P 4 2n'
_cell_length_a 10.698
_cell_length_b 10.698
_cell_length_c 5.686
_cell_angle_alpha 90.00
_cell_angle_beta 90.00
_cell_angle_gamma 90.00
loop_
_atom_site_label
_atom_site_fract_x
_atom_site_fract_y
_atom_site_fract_z
Tb1 0.071 0.236 0.000
Si1 0.000 0.000 0.260
Si2 0.025 0.321 0.500
Si3 0.173 0.673 0.250
Os1 0.000 0.500 0.250
Os2 0.126 0.854 0.500

(2)
# TbSi2Os2 meta-GGA r2SCAN relaxed
# - E (eV per cell) = -317.67
data_TbSi2Os2
_symmetry_space_group_name_H-M 'I 4/m m m'
_symmetry_Int_Tables_number 139
_symmetry_space_group_name_Hall '-I 4 2'
_cell_length_a 4.174
_cell_length_b 4.174
_cell_length_c 9.611
_cell_angle_alpha 90.00
_cell_angle_beta 90.00
_cell_angle_gamma 90.00
loop_
_atom_site_label
_atom_site_fract_x
_atom_site_fract_y
_atom_site_fract_z
Tb1 0.000 0.000 0.000
Si1 0.000 0.000 0.370
Os1 0.000 0.500 0.250

(3)
# ThSi3Os meta-GGA r2SCAN relaxed
# - E (eV per cell) = -312.60
data_ThSi3Os
_symmetry_space_group_name_H-M 'I 4 m m'
_symmetry_Int_Tables_number 107
_symmetry_space_group_name_Hall 'I 4 -2'
_cell_length_a 4.242
_cell_length_b 4.242
_cell_length_c 9.954
_cell_angle_alpha 90.00
_cell_angle_beta 90.00
_cell_angle_gamma 90.00
loop_
_atom_site_label
_atom_site_fract_x
_atom_site_fract_y
_atom_site_fract_z
Th1 0.000 0.000 0.000
Si1 0.000 0.000 0.424
Si2 0.000 0.500 0.269
Os1 0.000 0.000 0.661

(4)
# TmSi2Os2 meta-GGA r2SCAN relaxed
# - E (eV per cell) = -325.28
data_TmSi2Os2
_symmetry_space_group_name_H-M 'I 4/m m m'
_symmetry_Int_Tables_number 139
_symmetry_space_group_name_Hall '-I 4 2'
_cell_length_a 4.159
_cell_length_b 4.159
_cell_length_c 9.485
_cell_angle_alpha 90.00
_cell_angle_beta 90.00
_cell_angle_gamma 90.00
loop_
_atom_site_label
_atom_site_fract_x
_atom_site_fract_y
_atom_site_fract_z
Tm1 0.000 0.000 0.000
Si1 0.000 0.000 0.371
Os1 0.000 0.500 0.250

(5)
# USi2Os2 meta-GGA r2SCAN relaxed
# - E (eV per cell) = -414.03
data_USi2Os2
_symmetry_space_group_name_H-M 'I 4/m m m'
_symmetry_Int_Tables_number 139
_symmetry_space_group_name_Hall '-I 4 2'
_cell_length_a 4.179
_cell_length_b 4.179
_cell_length_c 9.551
_cell_angle_alpha 90.00
_cell_angle_beta 90.00
_cell_angle_gamma 90.00
loop_
_atom_site_label
_atom_site_fract_x
_atom_site_fract_y
_atom_site_fract_z
U1 0.000 0.000 0.000
Si1 0.000 0.000 0.372
Os1 0.000 0.500 0.250

(6)
# Y5Si14Os4 meta-GGA r2SCAN relaxed
# - E (eV per cell) = -904.15
data_Y5Si14Os4
_symmetry_space_group_name_H-M 'P 1 21/c 1'
_symmetry_Int_Tables_number 14
_cell_length_a 12.828
_cell_length_b 8.030
_cell_length_c 7.931
_cell_angle_alpha 90.00
_cell_angle_beta 98.49
_cell_angle_gamma 90.00
loop_
_symmetry_equiv_pos_as_xyz
'x,y,z'
'-x,-y,-z'
'-x,y+1/2,-z+1/2'
'x,-y+1/2,z+1/2'
loop_
_atom_site_label
_atom_site_fract_x
_atom_site_fract_y
_atom_site_fract_z
Y1 0.000 0.000 0.000
Y2 0.362 0.245 0.342
Y3 0.363 0.749 0.337
Si1 0.000 0.167 0.335
Si2 0.178 0.007 0.762
Si3 0.178 0.221 0.550
Si4 0.178 0.506 0.823
Si5 0.178 0.720 0.037
Si6 0.440 0.000 0.106
Si7 0.449 0.000 0.615
Os1 0.001 0.627 0.870
Os2 0.253 0.000 0.060

(7)
# YSi2Os2 meta-GGA r2SCAN relaxed
# - E (eV per cell) = -295.76
data_YSi2Os2
_symmetry_space_group_name_H-M 'I 4/m m m'
_symmetry_Int_Tables_number 139
_symmetry_space_group_name_Hall '-I 4 2'
_cell_length_a 4.174
_cell_length_b 4.174
_cell_length_c 9.596
_cell_angle_alpha 90.00
_cell_angle_beta 90.00
_cell_angle_gamma 90.00
loop_
_atom_site_label
_atom_site_fract_x
_atom_site_fract_y
_atom_site_fract_z
Y1 0.000 0.000 0.000
Si1 0.000 0.000 0.370
Os1 0.000 0.500 0.250

(8)
# TaOs3 meta-GGA r2SCAN relaxed
# - E (eV per cell) = -416.16
data_TaOs3
_symmetry_space_group_name_H-M 'P 63/m m c'
_symmetry_Int_Tables_number 194
_symmetry_space_group_name_Hall '-P 6c 2c'
_cell_length_a 5.5813
_cell_length_b 5.5813
_cell_length_c 4.4458
_cell_angle_alpha 90.00
_cell_angle_beta 90.00
_cell_angle_gamma 120.00
loop_
_atom_site_label
_atom_site_fract_x
_atom_site_fract_y
_atom_site_fract_z
Ta1 0.3333 0.6667 0.2500
Os1 0.1654 0.3308 0.7500

(9)
# Ta3Os meta-GGA r2SCAN relaxed
# - E (eV per cell) = -799.89
data_Ta3Os
_symmetry_space_group_name_H-M 'F m -3 m'
_symmetry_Int_Tables_number 225
_symmetry_space_group_name_Hall '-F 4 2 3'
_cell_length_a 6.446
_cell_length_b 6.446
_cell_length_c 6.446
_cell_angle_alpha 90.00
_cell_angle_beta 90.00
_cell_angle_gamma 90.00
loop_
_atom_site_label
_atom_site_fract_x
_atom_site_fract_y
_atom_site_fract_z
Ta1 0.000 0.000 0.000
Ta2 0.250 0.250 0.250
Os1 0.000 0.000 0.500

(10)
# TaOs3 meta-GGA r2SCAN relaxed
# - E (eV per cell) = -208.20
data_TaOs3
_symmetry_space_group_name_H-M 'P m -3 m'
_symmetry_Int_Tables_number 221
_symmetry_space_group_name_Hall '-P 4 2 3'
_cell_length_a 3.915
_cell_length_b 3.915
_cell_length_c 3.915
_cell_angle_alpha 90.00
_cell_angle_beta 90.00
_cell_angle_gamma 90.00
loop_
_atom_site_label
_atom_site_fract_x
_atom_site_fract_y
_atom_site_fract_z
Ta1 0.000 0.000 0.000
Os1 0.000 0.500 0.500

(11)
# Ta3Os2 meta-GGA r2SCAN relaxed
# - E (eV per cell) = -3043.19
data_Ta3Os2
_symmetry_space_group_name_H-M 'C m m 2'
_symmetry_Int_Tables_number 35
_cell_length_a 13.964
_cell_length_b 13.972
_cell_length_c 5.063
_cell_angle_alpha 90.00
_cell_angle_beta 90.00
_cell_angle_gamma 90.00
loop_
_symmetry_equiv_pos_as_xyz
'x,y,z'
'-x,-y,z'
'-x,y,z'
'x,-y,z'
'x+1/2,y+1/2,z'
'-x+1/2,-y+1/2,z'
'-x+1/2,y+1/2,z'
'x+1/2,-y+1/2,z'
loop_
_atom_site_label
_atom_site_fract_x
_atom_site_fract_y
_atom_site_fract_z
Ta1 0.000 0.103 0.000
Ta2 0.000 0.319 0.753
Ta3 0.101 0.500 0.508
Ta4 0.166 0.204 0.002
Ta5 0.181 0.000 0.753
Ta6 0.182 0.000 0.253
Ta7 0.202 0.332 0.500
Os1 0.000 0.000 0.501
Os2 0.000 0.319 0.253
Os3 0.000 0.500 0.024
Os4 0.095 0.165 0.502
Os5 0.161 0.404 0.003

(12)
# TaTiOs2 meta-GGA r2SCAN relaxed
# - E (eV per cell) = -679.39
data_TaTiOs2
_symmetry_space_group_name_H-M 'F m -3 m'
_symmetry_Int_Tables_number 225
_symmetry_space_group_name_Hall '-F 4 2 3'
_cell_length_a 6.264
_cell_length_b 6.264
_cell_length_c 6.264
_cell_angle_alpha 90.00
_cell_angle_beta 90.00
_cell_angle_gamma 90.00
loop_
_atom_site_label
_atom_site_fract_x
_atom_site_fract_y
_atom_site_fract_z
Ta1 0.000 0.000 0.000
Ti1 0.000 0.000 0.500
Os1 0.250 0.250 0.250

| no. | ΔH_f (0 K) (eV/atom) |
| --- | --- |
| 1 | -0.8061 |
| 2 | -0.8183 |
| 3 | -0.7033 |
| 4 | -0.8006 |
| 5 | -0.7110 |
| 6 | -0.6842 |
| 7 | -0.8093 |
| 8 | -0.1335 |
| 9 | -0.3032 |
| 10 | -0.1630 |
| 11 | -0.3706 |
| 12 | -0.5868 |